Record 1
DFT (GGA+U) results for an optimized crystal structure of Li9Mn2Co5O16.

Values from the calculation:
ΔH_f (0 K): -1812 meV per atom
Polymorph energy (0 for the lowest one): 52.2 meV per atom
Total energy: -185.7 eV for the cell shown

Lattice parameters (Å, degrees): 2.9598 5.1039 19.2405 93.60 92.58 91.22
Fractional positions:
Li 0.0000 0.0000 0.0000
Li 0.0008 0.2475 0.7493
Li 0.0091 0.4897 0.4952
Li 0.4968 0.3811 0.6261
Li 0.4973 0.8749 0.1249
Li 0.5042 0.1212 0.8743
Li 0.5119 0.6060 0.3733
Li 0.9904 0.1381 0.3758
Li 0.9933 0.7507 0.2492
Mn 0.4998 0.4932 0.9995
Mn 0.5023 0.0093 0.4951
Co 0.0066 0.6244 0.8732
Co 0.0116 0.8658 0.6240
Co 0.4977 0.2475 0.2546
Co 0.5046 0.7472 0.7494
Co 0.9944 0.3673 0.1267
O 0.0249 0.1611 0.5550
O 0.0339 0.0824 0.1868
O 0.0338 0.3204 0.9361
O 0.0493 0.5732 0.6903
O 0.4877 0.2039 0.0615
O 0.4941 0.2931 0.4418
O 0.4941 0.7872 0.9349
O 0.4982 0.0328 0.6850
O 0.5002 0.4625 0.8124
O 0.5026 0.9715 0.3031
O 0.5118 0.5258 0.1896
O 0.5200 0.7147 0.5643
O 0.9544 0.9219 0.8084
O 0.9608 0.6641 0.0643
O 0.9752 0.4286 0.3071
O 0.9829 0.8365 0.4447

***

Record 2
DFT (GGA+U) results for an optimized crystal structure of MgTiMn3O8.

Values from the calculation:
ΔH_f (0 K): -2410 meV per atom
Polymorph energy (0 for the lowest one): 0.0 meV per atom
Total energy: -97.4 eV for the cell shown

Lattice parameters (Å, degrees): 5.8545 5.8705 6.0651 118.55 118.53 90.43
Fractional positions:
Mg 0.0000 0.0000 0.0000
Ti 0.1369 0.3718 0.7360
Mn 0.6186 0.3665 0.2298
Mn 0.6195 0.3666 0.7348
Mn 0.6239 0.8614 0.2366
O 0.3704 0.1492 0.7297
O 0.3771 0.5848 0.7341
O 0.3797 0.5904 0.1838
O 0.4156 0.1389 0.2804
O 0.8123 0.5807 0.1658
O 0.8606 0.1337 0.2686
O 0.8678 0.1411 0.7322
O 0.8722 0.5920 0.7346

***

Record 3
DFT (GGA+U) results for an optimized crystal structure of CoAgP3O9.

Values from the calculation:
ΔH_f (0 K): -2093 meV per atom
Total energy: -737.6 eV for the cell shown

Lattice parameters (Å, degrees): 14.1422 10.9101 10.1123 90.00 90.00 90.00
Fractional positions:
Co 0.0000 0.0000 0.0000
Co 0.0000 0.0000 0.5000
Co 0.2500 0.5000 0.0321
Co 0.2500 0.5000 0.5321
Co 0.5000 0.0000 0.0000
Co 0.5000 0.0000 0.5000
Co 0.7500 0.5000 0.4679
Co 0.7500 0.5000 0.9679
Ag 0.1231 0.2485 0.4758
Ag 0.1231 0.7515 0.9758
Ag 0.3769 0.2485 0.9758
Ag 0.3769 0.7515 0.4758
Ag 0.6231 0.2485 0.5242
Ag 0.6231 0.7515 0.0242
Ag 0.8769 0.2485 0.0242
Ag 0.8769 0.7515 0.5242
P 0.1011 0.4695 0.7859
P 0.1011 0.5305 0.2859
P 0.1266 0.2508 0.9508
P 0.1266 0.7492 0.4508
P 0.1487 0.0460 0.7620
P 0.1487 0.9540 0.2620
P 0.3513 0.0460 0.2620
P 0.3513 0.9540 0.7620
P 0.3734 0.2508 0.4508
P 0.3734 0.7492 0.9508
P 0.3989 0.4695 0.2859
P 0.3989 0.5305 0.7859
P 0.6011 0.4695 0.2141
P 0.6011 0.5305 0.7141
P 0.6266 0.2508 0.0492
P 0.6266 0.7492 0.5492
P 0.6487 0.0460 0.2380
P 0.6487 0.9540 0.7380
P 0.8513 0.0460 0.7380
P 0.8513 0.9540 0.2380
P 0.8734 0.2508 0.5492
P 0.8734 0.7492 0.0492
P 0.8989 0.4695 0.7141
P 0.8989 0.5305 0.2141
O 0.0000 0.4707 0.2500
O 0.0000 0.5293 0.7500
O 0.0555 0.1748 0.0248
O 0.0555 0.8252 0.5248
O 0.0663 0.3476 0.8639
O 0.0663 0.6524 0.3639
O 0.0929 0.0828 0.6418
O 0.0929 0.9172 0.1418
O 0.1068 0.0439 0.3588
O 0.1068 0.9561 0.8588
O 0.1505 0.4320 0.6616
O 0.1504 0.4448 0.3809
O 0.1504 0.5552 0.8809
O 0.1505 0.5680 0.1616
O 0.1806 0.1691 0.8404
O 0.1806 0.8309 0.3404
O 0.2021 0.3171 0.0261
O 0.2021 0.6829 0.5261
O 0.2500 0.0000 0.2090
O 0.2500 0.0000 0.7090
O 0.2979 0.3171 0.5261
O 0.2979 0.6829 0.0261
O 0.3194 0.1691 0.3404
O 0.3194 0.8309 0.8404
O 0.3495 0.4320 0.1616
O 0.3496 0.4448 0.8809
O 0.3496 0.5552 0.3809
O 0.3495 0.5680 0.6616
O 0.3932 0.0439 0.8588
O 0.3932 0.9561 0.3588
O 0.4071 0.0828 0.1418
O 0.4071 0.9172 0.6418
O 0.4337 0.3476 0.3639
O 0.4337 0.6524 0.8639
O 0.4445 0.1748 0.5248
O 0.4445 0.8252 0.0248
O 0.5000 0.4707 0.7500
O 0.5000 0.5293 0.2500
O 0.5555 0.1748 0.9752
O 0.5555 0.8252 0.4752
O 0.5663 0.3476 0.1361
O 0.5663 0.6524 0.6361
O 0.5929 0.0828 0.3582
O 0.5929 0.9172 0.8582
O 0.6068 0.0439 0.6412
O 0.6068 0.9561 0.1412
O 0.6505 0.4320 0.3384
O 0.6504 0.4448 0.6191
O 0.6504 0.5552 0.1191
O 0.6505 0.5680 0.8384
O 0.6806 0.1691 0.1596
O 0.6806 0.8309 0.6596
O 0.7021 0.3171 0.9739
O 0.7021 0.6829 0.4739
O 0.7500 0.0000 0.2910
O 0.7500 0.0000 0.7910
O 0.7979 0.3171 0.4739
O 0.7979 0.6829 0.9739
O 0.8194 0.1691 0.6596
O 0.8194 0.8309 0.1596
O 0.8495 0.4320 0.8384
O 0.8496 0.4448 0.1191
O 0.8496 0.5552 0.6191
O 0.8495 0.5680 0.3384
O 0.8932 0.0439 0.1412
O 0.8932 0.9561 0.6412
O 0.9071 0.0828 0.8582
O 0.9071 0.9172 0.3582
O 0.9337 0.3476 0.6361
O 0.9337 0.6524 0.1361
O 0.9445 0.1748 0.4752
O 0.9445 0.8252 0.9752

***

Record 4
DFT (GGA+U) results for an optimized crystal structure of Bi14WO24.

Values from the calculation:
ΔH_f (0 K): -1617 meV per atom
Polymorph energy (0 for the lowest one): 89.3 meV per atom
Total energy: -228.3 eV for the cell shown

Lattice parameters (Å, degrees): 10.5801 10.5801 10.5801 131.08 131.08 71.68
Fractional positions:
Bi 0.0371 0.2195 0.5896
Bi 0.0636 0.7033 0.7668
Bi 0.1595 0.1595 0.0000
Bi 0.2195 0.6299 0.1824
Bi 0.2967 0.0636 0.3603
Bi 0.3701 0.5525 0.5896
Bi 0.4475 0.0371 0.8176
Bi 0.5525 0.9629 0.1824
Bi 0.6299 0.4475 0.4104
Bi 0.7033 0.9364 0.6397
Bi 0.7805 0.3701 0.8176
Bi 0.8405 0.8405 0.0000
Bi 0.9364 0.2967 0.2332
Bi 0.9629 0.7805 0.4104
W 0.5000 0.5000 0.0000
O 0.0013 0.6739 0.1696
O 0.0488 0.1002 0.3123
O 0.1002 0.7879 0.0514
O 0.1153 0.6153 0.5000
O 0.1683 0.9987 0.6726
O 0.2121 0.2635 0.3123
O 0.2635 0.9512 0.0514
O 0.2843 0.5257 0.8100
O 0.3261 0.4957 0.3274
O 0.3847 0.8847 0.5000
O 0.4743 0.2843 0.7586
O 0.4957 0.1683 0.1696
O 0.5043 0.8317 0.8304
O 0.5257 0.7157 0.2414
O 0.6153 0.1153 0.5000
O 0.6739 0.5043 0.6726
O 0.7157 0.4743 0.1900
O 0.7365 0.0488 0.9486
O 0.7879 0.7365 0.6877
O 0.8317 0.0013 0.3274
O 0.8847 0.3847 0.5000
O 0.8998 0.2121 0.9486
O 0.9512 0.8998 0.6877
O 0.9987 0.3261 0.8304

***

Record 5
DFT (GGA+U) results for an optimized crystal structure of Li7Mn5O12.

Values from the calculation:
ΔH_f (0 K): -2156 meV per atom
Polymorph energy (0 for the lowest one): 0.3 meV per atom
Total energy: -307.4 eV for the cell shown

Lattice parameters (Å, degrees): 5.0418 5.0418 19.6014 93.75 93.75 117.58
Fractional positions:
Li 0.3333 0.6667 0.0000
Li 0.3334 0.6667 0.5000
Li 0.0819 0.4153 0.1213
Li 0.0819 0.4153 0.6213
Li 0.5847 0.9181 0.3787
Li 0.5847 0.9181 0.8787
Li 0.4177 0.0779 0.1238
Li 0.4178 0.0780 0.6238
Li 0.9220 0.5822 0.3761
Li 0.9221 0.5823 0.8762
Li 0.7445 0.7510 0.1238
Li 0.7447 0.7512 0.6238
Li 0.2488 0.2554 0.3762
Li 0.2490 0.2555 0.8762
Mn 0.8334 0.1665 0.2500
Mn 0.8333 0.1666 0.7501
Mn 0.0015 0.9986 0.0000
Mn 0.6652 0.3348 0.0000
Mn 0.6655 0.3346 0.5000
Mn 0.0013 0.9987 0.5000
Mn 0.5001 0.4998 0.2500
Mn 0.5002 0.4998 0.7500
Mn 0.1665 0.8335 0.2500
Mn 0.1665 0.8335 0.7500
O 0.7253 0.0586 0.0560
O 0.7262 0.0595 0.5561
O 0.9405 0.2738 0.4439
O 0.9414 0.2747 0.9440
O 0.2350 0.5683 0.3103
O 0.2348 0.5682 0.8102
O 0.4318 0.7652 0.1898
O 0.4317 0.7650 0.6897
O 0.9985 0.6885 0.0544
O 0.9970 0.6879 0.5544
O 0.3552 0.3319 0.0544
O 0.3546 0.3304 0.5544
O 0.3121 0.0030 0.4456
O 0.3115 0.0015 0.9455
O 0.6696 0.6454 0.4456
O 0.6681 0.6448 0.9455
O 0.5660 0.2335 0.3089
O 0.5660 0.2335 0.8089
O 0.9003 0.8994 0.3089
O 0.9002 0.8994 0.8089
O 0.7665 0.4339 0.1911
O 0.7665 0.4340 0.6911
O 0.1005 0.0998 0.1911
O 0.1006 0.0997 0.6911

***

Record 6
DFT (GGA+U) results for an optimized crystal structure of BaMnAlCuO5.

Values from the calculation:
ΔH_f (0 K): -2081 meV per atom
Total energy: -57.3 eV for the cell shown

Lattice parameters (Å, degrees): 3.7113 3.7113 8.1719 90.00 90.00 90.00
Fractional positions:
Ba 0.0000 0.0000 0.0000
Mn 0.5000 0.5000 0.6752
Al 0.0000 0.0000 0.4550
Cu 0.5000 0.5000 0.2635
O 0.0000 0.5000 0.3020
O 0.0000 0.5000 0.6007
O 0.5000 0.0000 0.3020
O 0.5000 0.0000 0.6007
O 0.5000 0.5000 0.9236

***

Record 7
DFT (GGA+U) results for an optimized crystal structure of Mg30MnBO32.

Values from the calculation:
ΔH_f (0 K): -2898 meV per atom
Total energy: -384.0 eV for the cell shown

Lattice parameters (Å, degrees): 8.5206 8.5206 8.5107 90.00 90.00 90.00
Fractional positions:
Mg 0.0000 0.0000 0.0000
Mg 0.0000 0.0000 0.5000
Mg 0.0000 0.2501 0.2500
Mg 0.0000 0.2501 0.7500
Mg 0.0000 0.5000 0.0000
Mg 0.0000 0.5000 0.5000
Mg 0.0000 0.7499 0.2500
Mg 0.0000 0.7499 0.7500
Mg 0.2493 0.2493 0.0000
Mg 0.2493 0.7507 0.0000
Mg 0.2501 0.0000 0.2500
Mg 0.2501 0.0000 0.7500
Mg 0.2515 0.2515 0.5000
Mg 0.2506 0.5000 0.2521
Mg 0.2506 0.5000 0.7479
Mg 0.2515 0.7485 0.5000
Mg 0.5000 0.0000 0.0000
Mg 0.5000 0.0000 0.5000
Mg 0.5000 0.2506 0.2521
Mg 0.5000 0.2506 0.7479
Mg 0.5000 0.7494 0.2521
Mg 0.5000 0.7494 0.7479
Mg 0.7485 0.2515 0.5000
Mg 0.7494 0.5000 0.2521
Mg 0.7494 0.5000 0.7479
Mg 0.7485 0.7485 0.5000
Mg 0.7499 0.0000 0.2500
Mg 0.7499 0.0000 0.7500
Mg 0.7507 0.2493 0.0000
Mg 0.7507 0.7507 0.0000
Mn 0.5000 0.5000 0.0000
B 0.5000 0.5000 0.5000
O 0.0000 0.0000 0.2500
O 0.0000 0.0000 0.7500
O 0.0000 0.2497 0.0000
O 0.0000 0.2502 0.5000
O 0.0000 0.5000 0.2505
O 0.0000 0.5000 0.7495
O 0.0000 0.7503 0.0000
O 0.0000 0.7498 0.5000
O 0.2448 0.5000 0.0000
O 0.2497 0.0000 0.0000
O 0.2502 0.0000 0.5000
O 0.2503 0.2503 0.2497
O 0.2503 0.2503 0.7503
O 0.2503 0.7497 0.2497
O 0.2503 0.7497 0.7503
O 0.2509 0.5000 0.5000
O 0.5000 0.0000 0.2505
O 0.5000 0.0000 0.7495
O 0.5000 0.2448 0.0000
O 0.5000 0.2509 0.5000
O 0.5000 0.5000 0.2584
O 0.5000 0.5000 0.7416
O 0.5000 0.7491 0.5000
O 0.5000 0.7552 0.0000
O 0.7491 0.5000 0.5000
O 0.7503 0.0000 0.0000
O 0.7498 0.0000 0.5000
O 0.7497 0.2503 0.2497
O 0.7497 0.2503 0.7503
O 0.7497 0.7497 0.2497
O 0.7497 0.7497 0.7503
O 0.7552 0.5000 0.0000

***

Record 8
DFT (GGA+U) results for an optimized crystal structure of Li2V2F7.

Values from the calculation:
ΔH_f (0 K): -3054 meV per atom
Polymorph energy (0 for the lowest one): 56.3 meV per atom
Total energy: -124.7 eV for the cell shown

Lattice parameters (Å, degrees): 5.0738 5.0738 10.4472 97.91 97.91 82.75
Fractional positions:
Li 0.1502 0.7591 0.5195
Li 0.2409 0.8498 0.9805
Li 0.7591 0.1502 0.0195
Li 0.8498 0.2409 0.4805
V 0.2308 0.2400 0.7487
V 0.2400 0.2308 0.2487
V 0.7600 0.7692 0.7513
V 0.7692 0.7600 0.2513
F 0.0023 0.4947 0.3754
F 0.0181 0.9370 0.1305
F 0.0630 0.9819 0.3695
F 0.0742 0.5602 0.8708
F 0.4398 0.9258 0.6292
F 0.4593 0.5407 0.2500
F 0.4947 0.0023 0.8754
F 0.5053 0.9977 0.1246
F 0.5407 0.4593 0.7500
F 0.5602 0.0742 0.3708
F 0.9258 0.4398 0.1292
F 0.9370 0.0181 0.6305
F 0.9819 0.0630 0.8695
F 0.9977 0.5053 0.6246